Version a
Fe2SiS4 | PBE | relaxed

Results
For the total magnetization, the calculation gives 7.5 μB per formula unit. As for the volume: 17.21 Å³ per atom. As for the density: 3.7 g/cm3.

Cell lengths 6.984, 6.984, 6.984 Å; angles 60.00, 60.00, 60.00 degrees
Fractional positions:
Fe 0.000 0.000 0.000
Fe 0.000 0.000 0.500
Fe 0.000 0.500 0.000
Fe 0.500 0.000 0.000
Si 0.375 0.375 0.375
Si 0.625 0.625 0.625
S 0.242 0.753 0.753
S 0.247 0.247 0.247
S 0.247 0.247 0.758
S 0.247 0.758 0.247
S 0.753 0.242 0.753
S 0.753 0.753 0.242
S 0.753 0.753 0.753
S 0.758 0.247 0.247

***

Version b
Fe2SiS4 | PBE | relaxed

Results
For the total magnetization, the calculation gives 6.8 μB per formula unit. As for the volume: 17.73 Å³ per atom. As for the density: 3.6 g/cm3.

Cell lengths 12.167, 7.027, 5.808 Å; angles 90.00, 90.00, 90.00 degrees
Fractional positions:
Fe 0.000 0.000 0.000
Fe 0.000 0.500 0.000
Fe 0.238 0.250 0.493
Fe 0.262 0.750 0.993
Fe 0.500 0.000 0.500
Fe 0.500 0.500 0.500
Fe 0.738 0.250 0.007
Fe 0.762 0.750 0.507
Si 0.088 0.750 0.408
Si 0.412 0.250 0.908
Si 0.588 0.750 0.092
Si 0.912 0.250 0.592
S 0.075 0.250 0.741
S 0.092 0.750 0.777
S 0.168 0.509 0.249
S 0.168 0.991 0.249
S 0.332 0.009 0.749
S 0.332 0.491 0.749
S 0.408 0.250 0.277
S 0.425 0.750 0.241
S 0.575 0.250 0.759
S 0.592 0.750 0.723
S 0.668 0.509 0.251
S 0.668 0.991 0.251
S 0.832 0.009 0.751
S 0.832 0.491 0.751
S 0.908 0.250 0.223
S 0.925 0.750 0.259

***

We find version b to be the most stable, with the next structure 28 meV/atom higher.

***

Version a
Fe2SiS4 | PBE | relaxed

Results
For the total magnetization, the calculation gives 0.0 μB per formula unit. As for the volume: 15.36 Å³ per atom. As for the density: 4.1 g/cm3.

Cell lengths 6.760, 6.760, 5.432 Å; angles 90.00, 90.00, 120.00 degrees
Fractional positions:
Fe 0.000 0.000 0.000
Fe 0.000 0.500 0.500
Fe 0.500 0.000 0.500
Fe 0.500 0.500 0.500
Si 0.333 0.667 0.083
Si 0.667 0.333 0.917
S 0.168 0.335 0.253
S 0.168 0.832 0.253
S 0.333 0.667 0.687
S 0.335 0.168 0.747
S 0.665 0.832 0.253
S 0.667 0.333 0.313
S 0.832 0.168 0.747
S 0.832 0.665 0.747

***

Version b
Fe2SiS4 | PBE | relaxed

Results
For the total magnetization, the calculation gives 1.8 μB per formula unit. As for the volume: 15.77 Å³ per atom. As for the density: 4.0 g/cm3.

Cell lengths 5.498, 6.724, 11.942 Å; angles 90.00, 90.49, 90.00 degrees
Fractional positions:
Fe 0.000 0.000 0.000
Fe 0.000 0.000 0.500
Fe 0.000 0.260 0.241
Fe 0.000 0.260 0.759
Fe 0.000 0.500 0.500
Fe 0.000 0.740 0.241
Fe 0.000 0.740 0.759
Fe 0.500 0.500 0.000
Si 0.407 0.500 0.328
Si 0.416 0.000 0.836
Si 0.584 0.000 0.164
Si 0.593 0.500 0.672
S 0.187 0.000 0.165
S 0.200 0.500 0.665
S 0.217 0.000 0.678
S 0.218 0.256 0.408
S 0.218 0.744 0.408
S 0.249 0.249 0.920
S 0.249 0.751 0.920
S 0.254 0.500 0.162
S 0.746 0.500 0.838
S 0.751 0.249 0.080
S 0.751 0.751 0.080
S 0.782 0.256 0.592
S 0.782 0.744 0.592
S 0.783 0.000 0.322
S 0.800 0.500 0.335
S 0.813 0.000 0.835

***

We find version a to be the most stable, with the next structure 76 meV/atom higher.

***

Version a
Fe4Te3S | PBE | relaxed

Results
For the total magnetization, the calculation gives 7.4 μB per formula unit. As for the volume: 20.78 Å³ per atom. As for the density: 6.4 g/cm3.

Cell lengths 3.605, 7.325, 7.325 Å; angles 59.26, 90.00, 90.00 degrees
Fractional positions:
Fe 0.000 0.000 0.000
Fe 0.000 0.500 0.500
Fe 0.500 0.254 0.745
Fe 0.500 0.745 0.254
Te 0.000 0.394 0.894
Te 0.000 0.894 0.394
Te 0.500 0.856 0.856
S 0.500 0.390 0.390

***

Version b
Fe4Te3S | PBE | relaxed

Results
For the total magnetization, the calculation gives 4.2 μB per formula unit. As for the volume: 21.73 Å³ per atom. As for the density: 6.1 g/cm3.

Cell lengths 3.682, 3.682, 12.828 Å; angles 90.00, 90.00, 90.00 degrees
Fractional positions:
Fe 0.000 0.500 0.000
Fe 0.000 0.500 0.483
Fe 0.500 0.000 0.000
Fe 0.500 0.000 0.483
Te 0.000 0.000 0.141
Te 0.000 0.000 0.612
Te 0.500 0.500 0.859
S 0.500 0.500 0.397

***

We find version b to be the most stable, with the next structure 33 meV/atom higher.

***

Version a
ZnFe4S8 | PBE | relaxed

Results
For the total magnetization, the calculation gives 7.5 μB per formula unit. As for the volume: 17.93 Å³ per atom. As for the density: 3.9 g/cm3.

Cell lengths 7.285, 7.285, 7.285 Å; angles 53.69, 53.69, 53.69 degrees
Fractional positions:
Zn 0.000 0.000 0.000
Fe 0.000 0.000 0.500
Fe 0.000 0.500 0.000
Fe 0.500 0.000 0.000
Fe 0.500 0.500 0.500
S 0.228 0.743 0.743
S 0.237 0.237 0.237
S 0.257 0.257 0.772
S 0.257 0.772 0.257
S 0.743 0.228 0.743
S 0.743 0.743 0.228
S 0.763 0.763 0.763
S 0.772 0.257 0.257

***

Version b
ZnFe4S8 | PBE | relaxed

Results
For the total magnetization, the calculation gives 7.1 μB per formula unit. As for the volume: 16.96 Å³ per atom. As for the density: 4.1 g/cm3.

Cell lengths 6.766, 6.766, 6.766 Å; angles 60.30, 60.30, 60.30 degrees
Fractional positions:
Zn 0.000 0.000 0.000
Fe 0.000 0.500 0.500
Fe 0.500 0.000 0.500
Fe 0.500 0.500 0.000
Fe 0.500 0.500 0.500
S 0.257 0.257 0.721
S 0.257 0.721 0.257
S 0.260 0.260 0.260
S 0.279 0.743 0.743
S 0.721 0.257 0.257
S 0.740 0.740 0.740
S 0.743 0.279 0.743
S 0.743 0.743 0.279

***

We find version a to be the most stable, with the next structure 42 meV/atom higher.